No. 1
Density functional theory data (PBE-GGA) for a relaxed structure of MgTiO2.

Cell and atoms, written as extended XYZ:
```
16
Lattice="8.3990 -1.4187 0.0000 8.3990 1.4187 0.0000 -6.7529 0.0000 8.4592" Properties=species:S:1:pos:R:3 pbc="T T T"
Mg -1.4644 0.0000 3.2360
Mg 4.3059 0.0000 2.7924
Mg 5.7391 0.0000 5.6668
Mg 11.5094 0.0000 5.2232
Ti 1.3884 0.0000 2.5768
Ti 5.5119 0.0000 0.1788
Ti 4.5331 0.0000 8.2804
Ti 8.6566 0.0000 5.8824
O -3.8490 0.0000 6.7371
O 1.7760 0.0000 0.8015
O -1.1639 0.0000 5.3235
O 1.6854 0.0000 5.4877
O 8.3596 0.0000 2.9716
O 11.2089 0.0000 3.1358
O 8.2690 0.0000 7.6577
O 13.8940 0.0000 1.7221
```

Values from the calculation:
- calculated total energy (eV/atom) = -7.1365
- V (A^3/atom) = 12.6
- formation energy (kJ/mol of formula units) = -1015.8
- energy with MP2020 corrections (eV/atom) = -7.480


No. 2
Density functional theory data (PBE-GGA) for a relaxed structure of MgTiO2.

Cell and atoms, written as extended XYZ:
```
16
Lattice="2.8911 0.0000 0.0000 1.4400 7.7910 0.0000 1.4149 0.1384 7.9089" Properties=species:S:1:pos:R:3 pbc="T T T"
Mg 0.7082 1.9890 0.8428
Mg 2.1545 3.6013 5.4382
Mg 3.5915 4.3281 2.4707
Mg 5.0377 5.9404 7.0662
Ti 2.1462 7.0001 1.9337
Ti 2.1549 1.3120 3.3103
Ti 3.5911 6.6174 4.5986
Ti 3.5997 0.9293 5.9752
O 2.1441 5.5006 3.4852
O 2.1557 2.1376 6.7903
O 3.5921 7.3922 6.5667
O 2.1499 3.0233 1.8930
O 3.5961 4.9061 6.0159
O 2.1539 0.5372 1.3422
O 3.5903 5.7918 1.1186
O 3.6019 2.4288 4.4237
```

Values from the calculation:
- calculated total energy (eV/atom) = -7.3361
- V (A^3/atom) = 11.1
- formation energy (kJ/mol of formula units) = -1092.9
- energy with MP2020 corrections (eV/atom) = -7.680


No. 3
Density functional theory data (PBE-GGA) for a relaxed structure of MgTi4O8.

Cell and atoms, written as extended XYZ:
```
13
Lattice="4.9390 -2.9374 0.0000 4.9390 2.9374 0.0000 -4.9300 0.0000 4.9448" Properties=species:S:1:pos:R:3 pbc="T T T"
Mg 0.0000 0.0000 0.0000
Ti 0.0640 0.7500 2.7413
Ti -2.1890 -0.7121 4.8916
Ti 4.8839 0.7500 2.2035
Ti 7.1369 -0.7121 0.0532
O 3.5033 0.8644 0.8723
O 0.9625 -0.6735 1.5516
O -0.8687 -0.8241 3.5005
O 1.4445 0.8644 4.0725
O 3.3935 -2.2293 0.9517
O 3.9854 -0.6735 3.3932
O 5.8166 -0.8241 1.4442
O 1.5544 -2.2293 3.9931
```

Values from the calculation:
- calculated total energy (eV/atom) = -8.4269
- V (A^3/atom) = 11.0
- formation energy (kJ/mol of formula units) = -4079.4
- energy with MP2020 corrections (eV/atom) = -8.850
- distance to the lowest polymorph of the same formula (eV/f.u.) = 1.12


No. 4
Density functional theory data (PBE-GGA) for a relaxed structure of MgTiO3.

Cell and atoms, written as extended XYZ:
```
20
Lattice="5.3026 0.0000 0.0000 0.0000 7.4643 0.0000 0.0000 0.0000 5.1009" Properties=species:S:1:pos:R:3 pbc="T T T"
Mg 0.2893 1.8661 0.0479
Mg 2.3620 5.5982 2.5984
Mg 2.9405 1.8661 2.5025
Mg 5.0133 5.5982 5.0529
Ti 0.0000 0.0000 2.5504
Ti 0.0000 3.7322 2.5504
Ti 2.6513 0.0000 0.0000
Ti 2.6513 3.7322 0.0000
O 0.2982 5.5982 1.9230
O 0.9943 4.2153 4.1677
O 0.9943 6.9812 4.1677
O 1.6570 0.4831 1.6172
O 1.6570 3.2491 1.6172
O 2.3531 1.8661 4.4735
O 2.9495 5.5982 0.6274
O 3.6455 4.2153 3.4836
O 3.6455 6.9812 3.4836
O 4.3083 0.4831 0.9332
O 4.3083 3.2491 0.9332
O 5.0043 1.8661 3.1778
```

Values from the calculation:
- calculated total energy (eV/atom) = -7.7418
- V (A^3/atom) = 10.1
- formation energy (kJ/mol of formula units) = -1585.3
- energy with MP2020 corrections (eV/atom) = -8.154


No. 5
Density functional theory data (PBE-GGA) for a relaxed structure of MgTi3O6.

Cell and atoms, written as extended XYZ:
```
10
Lattice="7.4182 -1.5606 0.0000 7.4182 1.5606 0.0000 -0.1800 0.0000 4.9995" Properties=species:S:1:pos:R:3 pbc="T T T"
Mg 0.0000 0.0000 0.0000
Ti 4.6903 0.5703 4.4897
Ti 9.9661 0.5703 0.5097
Ti 7.3282 -0.1281 2.4997
O 3.5042 0.6178 1.0445
O 1.0619 -0.1955 1.6727
O 6.2462 -0.0268 0.7620
O 11.1522 0.6178 3.9549
O 8.4102 -0.0268 4.2374
O 13.5945 -0.1955 3.3267
```

Values from the calculation:
- calculated total energy (eV/atom) = -8.2164
- V (A^3/atom) = 11.6
- formation energy (kJ/mol of formula units) = -3021.1
- energy with MP2020 corrections (eV/atom) = -8.629


No. 6
Density functional theory data (PBE-GGA) for a relaxed structure of MgTiO2.

Cell and atoms, written as extended XYZ:
```
16
Lattice="2.8857 0.0000 0.0000 1.4403 7.7652 0.0000 1.4065 0.2139 8.2835" Properties=species:S:1:pos:R:3 pbc="T T T"
Mg 0.7032 1.7694 0.6215
Mg 2.1310 4.3928 2.0355
Mg 3.6015 3.5862 6.2481
Mg 5.0293 6.2097 7.6620
Ti 2.1420 7.1404 2.3231
Ti 2.1473 1.6721 3.3896
Ti 3.5852 6.3069 4.8939
Ti 3.5905 0.8386 5.9604
O 2.1553 5.0286 6.0655
O 2.1384 5.6826 3.6200
O 2.1563 2.1926 6.9575
O 3.5879 7.3155 6.8291
O 2.1446 0.6635 1.4544
O 3.5762 5.7865 1.3260
O 3.5941 2.2964 4.6635
O 3.5771 2.9504 2.2180
```

Values from the calculation:
- calculated total energy (eV/atom) = -7.2520
- V (A^3/atom) = 11.6
- formation energy (kJ/mol of formula units) = -1060.4
- energy with MP2020 corrections (eV/atom) = -7.596


No. 7
Density functional theory data (PBE-GGA) for a relaxed structure of MgTiO2.

Cell and atoms, written as extended XYZ:
```
16
Lattice="7.9202 -1.4416 0.0000 7.9202 1.4416 0.0000 -6.4870 0.0000 7.8463" Properties=species:S:1:pos:R:3 pbc="T T T"
Mg -2.1275 0.0000 3.0373
Mg 3.2729 0.0000 2.1988
Mg 6.0806 0.0000 5.6475
Mg 11.4810 0.0000 4.8090
Ti 0.5761 0.0000 2.8068
Ti 5.8074 0.0000 0.4327
Ti 3.5460 0.0000 7.4137
Ti 8.7773 0.0000 5.0395
O -3.0762 0.0000 6.5480
O 1.7102 0.0000 0.8983
O -0.7217 0.0000 4.5771
O 2.3687 0.0000 5.8138
O 6.9848 0.0000 2.0326
O 10.0751 0.0000 3.2693
O 7.6433 0.0000 6.9480
O 12.4297 0.0000 1.2983
```

Values from the calculation:
- calculated total energy (eV/atom) = -7.1559
- V (A^3/atom) = 11.2
- formation energy (kJ/mol of formula units) = -1023.3
- energy with MP2020 corrections (eV/atom) = -7.499


No. 8
Density functional theory data (PBE-GGA) for a relaxed structure of MgTi4O8.

Cell and atoms, written as extended XYZ:
```
13
Lattice="-2.9203 3.2306 4.1720 2.9203 -3.2306 4.1720 2.9203 3.2306 -4.1720" Properties=species:S:1:pos:R:3 pbc="T T T"
Mg 0.0000 0.0000 0.0000
Ti 2.9203 0.0000 2.3719
Ti 0.0000 0.0000 2.7492
Ti 1.3983 3.2306 1.7334
Ti 1.5219 0.0000 5.9054
O 1.4803 0.0000 1.2474
O 4.3602 0.0000 1.2474
O 1.4513 3.2306 -0.1143
O 1.4690 0.0000 4.0578
O 0.0000 1.9556 2.2535
O 2.9203 2.0361 2.5333
O 0.0000 4.5057 2.2535
O 0.0000 1.1945 6.7053
```

Values from the calculation:
- calculated total energy (eV/atom) = -8.3928
- V (A^3/atom) = 12.1
- formation energy (kJ/mol of formula units) = -4036.6
- energy with MP2020 corrections (eV/atom) = -8.816
- distance to the lowest polymorph of the same formula (eV/f.u.) = 1.56


No. 9
Density functional theory data (PBE-GGA) for a relaxed structure of MgTi4O8.

Cell and atoms, written as extended XYZ:
```
13
Lattice="6.1372 -1.9073 0.0000 6.1372 1.9073 0.0000 -1.9162 0.0000 6.3304" Properties=species:S:1:pos:R:3 pbc="T T T"
Mg 0.0000 0.0000 0.0000
Ti 2.3000 0.0000 4.5075
Ti 4.3021 0.0000 1.9259
Ti 6.0561 0.0000 4.4045
Ti 8.0582 0.0000 1.8228
O 0.2371 0.0000 4.6757
O 2.1904 0.0000 2.1806
O 2.9055 0.0000 6.2693
O 4.1928 0.0000 3.9587
O 6.1654 0.0000 2.3716
O 7.4527 0.0000 0.0611
O 8.1678 0.0000 4.1497
O 10.1211 0.0000 1.6546
```

Values from the calculation:
- calculated total energy (eV/atom) = -8.4203
- V (A^3/atom) = 11.4
- formation energy (kJ/mol of formula units) = -4071.1
- energy with MP2020 corrections (eV/atom) = -8.843
- distance to the lowest polymorph of the same formula (eV/f.u.) = 1.21